1.
Computed, not measured: a relaxed structure of Li4MnCo2O7 at the PBE with a Hubbard U level of DFT.

Properties
Crystal system   monoclinic
DFT total energy   -160.2 eV for the cell shown
Calculated formation energy   -1730 meV per atom

abc: 2.9857 2.9857 34.5771
angles: 86.86 86.86 57.60
Last column: nearest neighbours and their distance in Å.
Atoms (fractional coordinates):
1 Li 0.8563 0.8563 0.2145  6 O 2.12-2.26
2 O 0.0714 0.0714 0.3949  3 Co 2.00-2.12, 3 Li 2.11-2.22
3 O 0.8100 0.8100 0.8233  2 Mn 1.97, 3 Li 2.16-2.20
4 Li 0.7141 0.7141 0.9289  6 O 2.13-2.18
5 O 0.3801 0.3801 0.9673  2 Mn 1.97, 3 Li 2.13-2.17
6 O 0.4990 0.4990 0.2532  3 Co 1.99-2.10, 3 Li 2.13-2.23
7 Co 0.5706 0.5706 0.1433  6 O 2.02-2.11
8 Co 0.1436 0.1436 0.2852  6 O 1.99-2.10
9 Li 0.5783 0.5783 0.6417  5 O 2.02-2.26
10 O 0.2206 0.2206 0.1759  3 Co 2.02-2.09, 2 Li 2.12
11 O 0.7891 0.7891 0.3175  3 Co 2.00-2.10, 2 Li 2.14
12 Co 0.7142 0.7142 0.4274  6 O 1.98-2.12
13 Mn 0.4294 0.4294 0.8567  4 O 1.97
14 Mn 0.9972 0.9972 0.0009  4 O 1.96-1.97
15 Li 0.2857 0.2857 0.5715  6 O 2.09-2.22
16 Li 0.9922 0.9922 0.5006  5 O 2.05-2.19
17 O 0.4875 0.4875 0.7467  3 Co 1.95-2.18, 3 Li 2.13
18 O 0.6172 0.6172 0.0338  2 Mn 1.96, 3 Li 2.17-2.20
19 Li 0.4299 0.4299 0.3568  6 O 2.11-2.25
20 O 0.0480 0.0480 0.8901  2 Mn 1.97, 3 Li 2.13-2.18
21 Li 0.1459 0.1459 0.7838  6 O 2.13-2.20
22 Li 0.2801 0.2801 0.0735  6 O 2.08-2.20
23 O 0.3604 0.3604 0.4586  3 Co 1.98-2.08, 2 Li 2.19
24 O 0.9221 0.9221 0.1099  3 Co 2.03-2.11, 3 Li 2.08-2.19
25 O 0.6451 0.6451 0.5343  6 Li 2.05-2.21
26 Co 0.8608 0.8608 0.7150  5 O 1.92-2.10
27 O 0.9264 0.9264 0.6092  6 Li 2.02-2.22
28 O 0.2248 0.2248 0.6856  3 Co 1.92-2.10

---

2.
Computed, not measured: a relaxed structure of Li4MnCo2O7 at the PBE with a Hubbard U level of DFT.

Properties
Crystal system   triclinic
DFT total energy   -163.5 eV for the cell shown
Calculated formation energy   -1847 meV per atom

abc: 6.5550 6.5942 6.6179
angles: 71.94 71.57 72.19
Last column: nearest neighbours and their distance in Å.
Atoms (fractional coordinates):
1 O 0.5432 0.4144 0.8150  2 Co 1.90-1.95, 1 Li 2.11
2 O 0.1079 0.6924 0.9702  1 Mn 2.00, 2 Co 2.04-2.05, 3 Li 2.11-2.16
3 O 0.5835 0.1702 0.4757  1 Mn 1.88, 1 Co 2.03, 3 Li 2.08-2.09
4 Co 0.4335 0.7023 0.8605  6 O 1.90-2.12
5 Co 0.8522 0.4295 0.7211  6 O 1.95-2.08
6 O 0.0293 0.8993 0.2985  1 Mn 1.92, 2 Co 2.04-2.11, 2 Li 2.12
7 Li 0.9240 0.2213 0.3470  6 O 2.07-2.30
8 Li 0.0703 0.7823 0.6464  6 O 2.06-2.27
9 Mn 0.2891 0.1432 0.5651  6 O 1.88-2.02
10 O 0.2473 0.2476 0.2762  1 Mn 1.90, 1 Co 2.02, 3 Li 2.07-2.12
11 O 0.7017 0.9597 0.1132  1 Mn 1.91, 1 Co 1.97, 2 Li 2.11
12 O 0.8362 0.5429 0.3984  3 Co 2.01-2.06, 3 Li 2.13-2.15
13 Li 0.6420 0.0728 0.7862  6 O 2.08-2.20
14 Li 0.5050 0.4979 0.4927  6 O 2.09-2.25
15 Li 0.5708 0.2855 0.1474  6 O 2.08-2.14
16 Li 0.7805 0.6361 0.0778  6 O 2.11-2.23
17 O 0.4463 0.6139 0.1755  2 Co 1.91-2.01, 4 Li 2.07-2.12
18 O 0.7488 0.7487 0.7327  3 Co 2.01-2.05, 3 Li 2.06-2.23
19 O 0.9759 0.1053 0.6959  2 Mn 1.96-2.02, 1 Co 2.08, 2 Li 2.13-2.14
20 Co 0.1529 0.5672 0.2821  6 O 1.91-2.11
21 Mn 0.9964 0.0019 0.0025  6 O 1.91-2.00
22 Co 0.7122 0.8637 0.4243  6 O 1.97-2.06
23 Li 0.2155 0.3588 0.9333  6 O 2.06-2.22
24 O 0.9036 0.2997 0.0243  1 Mn 1.91, 1 Co 2.01, 3 Li 2.06-2.09
25 O 0.3892 0.8431 0.5378  1 Mn 1.93, 2 Co 2.04-2.12, 2 Li 2.08-2.11
26 Li 0.3605 0.9300 0.2160  6 O 2.07-2.23
27 O 0.3087 0.0257 0.8780  2 Mn 1.99-2.00, 1 Co 2.06, 2 Li 2.17-2.21
28 O 0.1735 0.4448 0.6062  1 Mn 1.97, 2 Co 2.02-2.08, 3 Li 2.15-2.19

---

3.
Computed, not measured: a relaxed structure of Li4Mn3CoO8 at the PBE with a Hubbard U level of DFT.

Properties
Crystal system   triclinic
DFT total energy   -204.2 eV for the cell shown
Calculated formation energy   -2028 meV per atom

abc: 5.9683 10.3753 6.0411
angles: 106.71 59.08 88.91
Last column: nearest neighbours and their distance in Å.
Atoms (fractional coordinates):
1 Li 0.0051 0.0074 0.5066  4 O 2.01-2.24
2 Co 0.4994 0.5004 0.0039  6 O 2.09-2.14
3 Mn 0.7504 0.7500 0.9996  6 O 1.94-1.98
4 O 0.6257 0.1453 0.7692  2 Mn 1.98-1.99, 2 Li 2.05-2.14
5 O 0.8746 0.3551 0.2325  2 Mn 1.98-1.99, 2 Li 2.04-2.15
6 O 0.1533 0.1247 0.2156  2 Mn 1.95-1.99, 1 Co 2.14, 1 Li 2.18
7 O 0.6171 0.6380 0.7824  2 Mn 1.98-1.99, 1 Co 2.12, 2 Li 2.16-2.17
8 O 0.1216 0.6237 0.2125  2 Mn 1.97-1.99, 1 Li 2.07, 1 Co 2.09
9 Mn 0.0001 0.4996 0.9984  4 O 1.96-2.00
10 O 0.4024 0.3727 0.2395  1 Mn 1.94, 3 Li 2.00-2.18, 1 Co 2.09
11 Li 0.2502 0.2501 0.5006  6 O 2.07-2.18
12 O 0.3768 0.8758 0.7830  2 Mn 1.99-2.00, 2 Li 2.07-2.21, 1 Co 2.08
13 Li 0.7503 0.7500 0.4990  6 O 2.07-2.17
14 Li 0.2515 0.7500 0.5004  4 O 2.04-2.18
15 Li 0.7485 0.2520 0.5034  5 O 2.04-2.27
16 Li 0.4908 0.4915 0.4988  4 O 2.00-2.20
17 O 0.8753 0.3734 0.7841  2 Mn 1.97-2.00, 1 Li 2.07, 1 Co 2.09
18 O 0.1033 0.6338 0.7469  1 Mn 1.94, 2 Li 2.01-2.04
19 O 0.6259 0.1272 0.2130  2 Mn 1.96-2.00, 1 Li 2.07, 1 Co 2.08
20 Mn 0.4975 0.9981 0.0054  5 O 1.95-2.18
21 Mn 0.7506 0.2502 0.0000  6 O 1.94-1.98
22 O 0.3964 0.8665 0.2528  2 Mn 1.94-2.18, 2 Li 2.01-2.05
23 O 0.8473 0.8716 0.7810  2 Mn 1.97, 1 Co 2.14, 2 Li 2.15-2.18
24 Mn 0.2498 0.7501 0.9990  6 O 1.99-2.22
25 O 0.3494 0.3748 0.7810  2 Mn 1.96-1.99, 1 Co 2.14, 3 Li 2.16-2.20
26 Mn 0.2499 0.2502 0.9999  6 O 1.99-2.21
27 Co 0.0007 0.0003 0.9950  6 O 2.08-2.14
28 O 0.8823 0.8616 0.2168  2 Mn 1.98-1.99, 1 Co 2.13, 2 Li 2.15-2.16
29 Li 0.0077 0.5054 0.5033  3 O 2.01-2.18
30 Li 0.4925 0.9924 0.5003  4 O 2.01-2.21
31 O 0.6546 0.6291 0.2167  2 Mn 1.96-1.97, 1 Co 2.14, 2 Li 2.15-2.17
32 O 0.0990 0.1289 0.7591  1 Mn 1.94, 2 Li 2.01-2.14, 1 Co 2.10

---

Which value of calculated formation energy does entry 3 give? -2028 meV per atom

---

Which of these has the lowest DFT total energy? Li4Mn3CoO8